w | K2La2MgTi3O10 | PBE | relaxed

Structure (CIF):
```
data_K2La2MgTi3O10
_chemical_formula_sum 'K4 La4 Mg2 Ti6 O20'
_cell_length_a 3.962
_cell_length_b 3.962
_cell_length_c 32.863
_cell_angle_alpha 90.00
_cell_angle_beta 90.00
_cell_angle_gamma 90.00
_space_group_name_H-M_alt 'I 4/m m m'
_space_group_IT_number 139
_space_group_name_Hall '-I 4 2'
loop_
_atom_site_label
_atom_site_type_symbol
_atom_site_fract_x
_atom_site_fract_y
_atom_site_fract_z
_atom_site_occupancy
K1 K 0.000 0.000 0.212 1
La1 La 0.000 0.000 0.093 1
Mg1 Mg 0.000 0.000 0.000 1
Ti1 Ti 0.000 0.000 0.350 1
Ti2 Ti 0.000 0.000 0.500 1
O1 O 0.000 0.000 0.297 1
O2 O 0.000 0.000 0.436 1
O3 O 0.000 0.500 0.000 1
O4 O 0.000 0.500 0.136 1
```

## Properties
Mass density, Mg/m³: 4.403
Total magnetization, μB/f.u.: 0.03

***

x | K2La2MgTi3O10 | PBE | relaxed

Structure (CIF):
```
data_K2La2MgTi3O10
_chemical_formula_sum 'K4 La4 Mg2 Ti6 O20'
_cell_length_a 3.964
_cell_length_b 3.964
_cell_length_c 29.080
_cell_angle_alpha 90.00
_cell_angle_beta 90.00
_cell_angle_gamma 90.00
_space_group_name_H-M_alt 'I -4 m 2'
_space_group_IT_number 119
_space_group_name_Hall 'I -4 -2'
loop_
_atom_site_label
_atom_site_type_symbol
_atom_site_fract_x
_atom_site_fract_y
_atom_site_fract_z
_atom_site_occupancy
K1 K 0.000 0.000 0.189 1
La1 La 0.000 0.000 0.070 1
Mg1 Mg 0.000 0.500 0.750 1
Ti1 Ti 0.000 0.000 0.364 1
Ti2 Ti 0.000 0.000 0.500 1
O1 O 0.000 0.000 0.287 1
O2 O 0.000 0.000 0.432 1
O3 O 0.000 0.500 0.000 1
O4 O 0.000 0.500 0.129 1
O5 O 0.000 0.500 0.632 1
```

## Properties
Mass density, Mg/m³: 4.971
Total magnetization, μB/f.u.: 0.02

***

Verdict on stability: x comes out on top.

***

w | K2La2MgTi2O8 | PBE | relaxed

Structure (CIF):
```
data_K2La2MgTi2O8
_chemical_formula_sum 'K2 La2 Mg1 Ti2 O8'
_cell_length_a 3.844
_cell_length_b 3.844
_cell_length_c 15.855
_cell_angle_alpha 90.00
_cell_angle_beta 90.00
_cell_angle_gamma 90.00
_space_group_name_H-M_alt 'P -4 m 2'
_space_group_IT_number 115
_space_group_name_Hall 'P -4 -2'
loop_
_atom_site_label
_atom_site_type_symbol
_atom_site_fract_x
_atom_site_fract_y
_atom_site_fract_z
_atom_site_occupancy
K1 K 0.000 0.500 0.079 1
La1 La 0.000 0.500 0.347 1
Mg1 Mg 0.000 0.000 0.500 1
Ti1 Ti 0.000 0.500 0.785 1
O1 O 0.000 0.000 0.258 1
O2 O 0.000 0.500 0.567 1
O3 O 0.000 0.500 0.898 1
O4 O 0.500 0.500 0.258 1
```

## Properties
Mass density, Mg/m³: 4.281
Total magnetization, μB/f.u.: 0.82

***

x | K2La2MgTi2O8 | PBE | relaxed

Structure (CIF):
```
data_K2La2MgTi2O8
_chemical_formula_sum 'K2 La2 Mg1 Ti2 O8'
_cell_length_a 3.951
_cell_length_b 3.951
_cell_length_c 13.138
_cell_angle_alpha 90.00
_cell_angle_beta 90.00
_cell_angle_gamma 90.00
_space_group_name_H-M_alt 'P -4 m 2'
_space_group_IT_number 115
_space_group_name_Hall 'P -4 -2'
loop_
_atom_site_label
_atom_site_type_symbol
_atom_site_fract_x
_atom_site_fract_y
_atom_site_fract_z
_atom_site_occupancy
K1 K 0.000 0.500 0.135 1
La1 La 0.000 0.500 0.395 1
Mg1 Mg 0.500 0.500 0.000 1
Ti1 Ti 0.000 0.500 0.742 1
O1 O 0.000 0.000 0.272 1
O2 O 0.000 0.500 0.573 1
O3 O 0.000 0.500 0.918 1
O4 O 0.500 0.500 0.269 1
```

## Properties
Mass density, Mg/m³: 4.892
Total magnetization, μB/f.u.: 1.59

***

Verdict on stability: x comes out on top.

***

w | KLaPrSbO6 | PBE | relaxed

Structure (CIF):
```
data_KLaPrSbO6
_chemical_formula_sum 'K4 La4 Pr4 Sb4 O24'
_cell_length_a 8.583
_cell_length_b 8.583
_cell_length_c 8.583
_cell_angle_alpha 90.00
_cell_angle_beta 90.00
_cell_angle_gamma 90.00
_space_group_name_H-M_alt 'F -4 3 m'
_space_group_IT_number 216
_space_group_name_Hall 'F -4 2 3'
loop_
_atom_site_label
_atom_site_type_symbol
_atom_site_fract_x
_atom_site_fract_y
_atom_site_fract_z
_atom_site_occupancy
K1 K 0.000 0.000 0.000 1
La1 La 0.000 0.000 0.500 1
Pr1 Pr 0.250 0.250 0.250 1
Sb1 Sb 0.250 0.250 0.750 1
O1 O 0.018 0.250 0.750 1
```

## Properties
Mass density, Mg/m³: 5.637
Total magnetization, μB/f.u.: 0.00

***

x | KLaPrSbO6 | PBE | relaxed

Structure (CIF):
```
data_KLaPrSbO6
_chemical_formula_sum 'K4 La4 Pr4 Sb4 O24'
_cell_length_a 8.476
_cell_length_b 8.558
_cell_length_c 8.579
_cell_angle_alpha 90.00
_cell_angle_beta 90.00
_cell_angle_gamma 90.00
_space_group_name_H-M_alt 'P n n n'
_space_group_IT_number 48
loop_
_space_group_symop_operation_xyz
'x,y,z'
'-x,-y,-z'
'-x+1/2,-y+1/2,z'
'x+1/2,y+1/2,-z'
'x,-y+1/2,-z+1/2'
'-x,y+1/2,z+1/2'
'-x+1/2,y,-z+1/2'
'x+1/2,-y,z+1/2'
loop_
_atom_site_label
_atom_site_type_symbol
_atom_site_fract_x
_atom_site_fract_y
_atom_site_fract_z
_atom_site_occupancy
K1 K 0.250 0.250 0.250 1
K2 K 0.250 0.750 0.750 1
La1 La 0.250 0.250 0.750 1
La2 La 0.250 0.750 0.250 1
Pr1 Pr 0.000 0.000 0.000 1
Sb1 Sb 0.000 0.000 0.500 1
O1 O 0.033 0.054 0.731 1
O2 O 0.038 0.731 0.987 1
O3 O 0.230 0.025 0.462 1
```

## Properties
Mass density, Mg/m³: 5.728
Total magnetization, μB/f.u.: 0.00

***

Verdict on stability: x comes out on top.